1.
Density functional theory data (GGA-PBE) for an optimized crystal structure of LaTe2.

Values from the calculation:
Calculated formation energy in kJ per mole of atoms: -162.2

abc: 9.269 4.580 9.269
angles: 90.00 90.00 90.00
Space group Pma2 (No. 28)
Unique sites:
La1 0.000 0.000 0.000 [2 per cell]
La2 0.250 0.475 0.546 [2 per cell]
Te1 0.000 0.000 0.640 [2 per cell]
Te2 0.000 0.500 0.272 [2 per cell]
Te3 0.250 0.494 0.906 [2 per cell]
Te4 0.250 0.934 0.273 [2 per cell]

2.
Density functional theory data (GGA-PBE) for an optimized crystal structure of LaTe2.

Values from the calculation:
Calculated formation energy in kJ per mole of atoms: -162.1

abc: 4.560 4.560 9.292
angles: 90.00 90.00 90.00
Space group P4/nmm (No. 129, origin choice 2)
Unique sites:
La1 0.250 0.250 0.226 [2 per cell]
Te1 0.250 0.250 0.866 [2 per cell]
Te2 0.250 0.750 0.500 [2 per cell]

3.
Density functional theory data (GGA-PBE) for an optimized crystal structure of LaTe2.

Values from the calculation:
Calculated formation energy in kJ per mole of atoms: -162.3
Spin magnetization in μB per formula unit: 0.0

abc: 9.148 9.148 9.265
angles: 90.00 90.00 90.00
Space group P4bm (No. 100)
Unique sites:
La1 0.000 0.000 0.000 [2 per cell]
La2 0.000 0.500 0.001 [2 per cell]
La3 0.243 0.257 0.547 [4 per cell]
Te1 0.000 0.000 0.640 [2 per cell]
Te2 0.000 0.500 0.641 [2 per cell]
Te3 0.014 0.748 0.274 [8 per cell]
Te4 0.250 0.250 0.908 [4 per cell]